MgSi2 after structural relaxation, computed with PBE.

Cell and atoms, written as POSCAR:
```
MgSi2
1.0
-3.9350 0.2640 -3.3893
-1.4584 -3.1067 -0.2001
-4.0369 4.9745 11.1852
Mg Si
4 8
direct
0.1424 0.8704 0.8631 Mg
0.1717 0.1001 0.1060 Mg
0.4919 0.6378 0.2980 Mg
0.1705 0.6253 0.6253 Mg
0.6125 0.3572 0.0821 Si
0.7473 0.6632 0.9520 Si
0.7426 0.3800 0.6704 Si
0.1331 0.4162 0.3884 Si
0.5544 0.1034 0.8007 Si
0.8847 0.8817 0.2353 Si
0.8400 0.1263 0.4594 Si
0.5086 0.8386 0.5197 Si
```

Computed properties:
Crystal system   triclinic
E   -47.31 eV for the cell shown
SG   P1
ΔH_f (0 K)   0.26 eV/atom